# CeSe2

A relaxed CeSe2 crystal (PBE, Materials Project).

a b c (Å): 7.8410 13.7996 14.3429
angles (deg): 112.03 90.00 90.00
Fractional positions:
Se 0.8084 0.6932 0.7598
Se 0.6916 0.1932 0.2598
Se 0.9759 0.3299 0.7933
Se 0.0957 0.1667 0.4728
Se 0.6256 0.5383 0.3514
Se 0.5957 0.3333 0.0272
Se 0.4043 0.6667 0.9728
Se 0.3084 0.8068 0.7402
Se 0.9043 0.8333 0.5272
Se 0.3744 0.4617 0.6486
Se 0.1916 0.3068 0.2402
Ce 0.2313 0.2829 0.6557
Ce 0.4710 0.6533 0.7813
Se 0.8744 0.0383 0.8514
Ce 0.7313 0.2171 0.8443
Se 0.1256 0.9617 0.1486
Ce 0.9710 0.8467 0.7187
Se 0.5241 0.8299 0.2933
Ce 0.2687 0.7829 0.1557
Ce 0.5290 0.3467 0.2187
Ce 0.7687 0.7171 0.3443
Se 0.4759 0.1701 0.7067
Ce 0.0290 0.1533 0.2813
Se 0.0241 0.6701 0.2067

Energy of formation   -1.408 eV/atom

***

# Ce3Ni4Ge4

A relaxed Ce3Ni4Ge4 crystal (PBE, Materials Project).

a b c (Å): 4.0786 4.1747 12.3378
angles (deg): 99.74 99.51 90.00
Fractional positions:
Ce 0.8492 0.3492 0.6984
Ge 0.6974 0.1974 0.3949
Ce 0.0000 0.0000 0.0000
Ni 0.7504 0.7504 0.5008
Ni 0.4033 0.9033 0.8066
Ce 0.1508 0.6508 0.3016
Ge 0.5530 0.5530 0.1060
Ge 0.3026 0.8026 0.6051
Ge 0.4470 0.4470 0.8940
Ni 0.5967 0.0967 0.1934
Ni 0.2496 0.2496 0.4992

Energy of formation   -0.699 eV/atom

***

# SrN

A relaxed SrN crystal (PBE, Materials Project).

a b c (Å): 7.1043 7.1043 6.7605
angles (deg): 85.34 85.34 31.00
Fractional positions:
N 0.0226 0.0226 0.9176
N 0.2465 0.2465 0.2509
N 0.9774 0.9774 0.0824
Sr 0.8471 0.8471 0.3894
N 0.7535 0.7535 0.7491
Sr 0.6464 0.6464 0.0936
Sr 0.1529 0.1529 0.6106
Sr 0.3536 0.3536 0.9064

Energy of formation   -0.704 eV/atom

***

# GdInPt2

A relaxed GdInPt2 crystal (PBE, Materials Project).

a b c (Å): 4.6139 4.6139 9.1086
angles (deg): 90.00 90.00 120.00
Fractional positions:
Pt 0.3333 0.6667 0.9097
Pt 0.6667 0.3333 0.4097
In 0.0000 0.0000 0.5000
Pt 0.6667 0.3333 0.0903
Pt 0.3333 0.6667 0.5903
Gd 0.6667 0.3333 0.7500
Gd 0.3333 0.6667 0.2500
In 0.0000 0.0000 0.0000

Energy of formation   -0.935 eV/atom

***

# TbGeIr

A relaxed TbGeIr crystal (PBE, Materials Project).

a b c (Å): 4.3497 6.9492 7.6011
angles (deg): 90.00 90.00 90.00
Fractional positions:
Tb 0.7500 0.9996 0.6926
Tb 0.2500 0.5004 0.1926
Ge 0.7500 0.7061 0.3931
Ge 0.7500 0.2061 0.1069
Tb 0.2500 0.0004 0.3074
Ir 0.7500 0.3385 0.4312
Tb 0.7500 0.4996 0.8074
Ir 0.7500 0.8385 0.0688
Ir 0.2500 0.6615 0.5688
Ge 0.2500 0.2939 0.6069
Ir 0.2500 0.1615 0.9312
Ge 0.2500 0.7939 0.8931

Energy of formation   -0.926 eV/atom

***

# BaSrTbBiO6

A relaxed BaSrTbBiO6 crystal (PBE, Materials Project).

a b c (Å): 8.6423 8.6525 8.6280
angles (deg): 90.00 90.00 90.00
Fractional positions:
O 0.4935 0.7224 0.2232
O 0.7795 0.4925 0.2907
O 0.7205 0.0075 0.2093
O 0.0065 0.7776 0.2768
Tb 0.2500 0.2500 0.2500
O 0.9935 0.2224 0.2768
Sr 0.0000 0.5000 0.0000
O 0.5065 0.7224 0.7768
O 0.2795 0.0075 0.7907
O 0.2795 0.9925 0.2093
Sr 0.0000 0.5000 0.5000
Bi 0.2500 0.7500 0.2500
O 0.4935 0.2776 0.7768
Sr 0.5000 0.0000 0.0000
Tb 0.7500 0.7500 0.2500
Ba 0.5000 0.5000 0.0000
Tb 0.2500 0.7500 0.7500
O 0.7161 0.7880 0.5076
Ba 0.0000 0.0000 0.5000
O 0.7795 0.5075 0.7093
O 0.2161 0.7120 0.0076
O 0.2839 0.2120 0.5076
O 0.9935 0.7776 0.7232
O 0.2161 0.2880 0.9924
O 0.5065 0.2776 0.2232
Ba 0.5000 0.5000 0.5000
Bi 0.2500 0.2500 0.7500
O 0.7161 0.2120 0.4924
O 0.7205 0.9925 0.7907
Bi 0.7500 0.7500 0.7500
O 0.0065 0.2224 0.7232
Bi 0.7500 0.2500 0.2500
Tb 0.7500 0.2500 0.7500
O 0.2839 0.7880 0.4924
O 0.7839 0.2880 0.0076
Sr 0.5000 0.0000 0.5000
O 0.7839 0.7120 0.9924
O 0.2205 0.4925 0.7093
O 0.2205 0.5075 0.2907
Ba 0.0000 0.0000 0.0000

Offset from the most stable computed form   0.000 eV per atom
Energy of formation   -2.818 eV/atom

***

# KEu3

A relaxed KEu3 crystal (PBE, Materials Project).

a b c (Å): 5.8850 5.8850 5.8850
angles (deg): 90.00 90.00 90.00
Fractional positions:
Eu 0.0000 0.5000 0.5000
K 0.0000 0.0000 0.0000
Eu 0.5000 0.5000 0.0000
Eu 0.5000 0.0000 0.5000

Offset from the most stable computed form   0.003 eV per atom
Energy of formation   0.202 eV/atom

***

# Mg16Al12Cr

A relaxed Mg16Al12Cr crystal (PBE, Materials Project).

a b c (Å): 9.0923 9.0923 9.0923
angles (deg): 109.47 109.47 109.47
Fractional positions:
Al 0.0000 0.1849 0.3650
Al 0.0000 0.3650 0.1849
Mg 0.0000 0.6624 0.0000
Mg 0.0000 0.6853 0.3989
Al 0.8151 0.1801 0.8151
Mg 0.6011 0.6011 0.2863
Al 0.6350 0.8199 0.6350
Al 0.1849 0.3650 0.0000
Al 0.1801 0.8151 0.8151
Mg 0.6624 0.0000 0.0000
Mg 0.3989 0.0000 0.6853
Mg 0.6853 0.3989 0.0000
Al 0.1849 0.0000 0.3650
Mg 0.3989 0.6853 0.0000
Cr 0.0000 0.0000 0.0000
Al 0.6350 0.6350 0.8199
Mg 0.2863 0.6011 0.6011
Mg 0.3147 0.7137 0.3147
Mg 0.6011 0.2863 0.6011
Mg 0.7137 0.3147 0.3147
Al 0.8199 0.6350 0.6350
Al 0.3650 0.0000 0.1849
Mg 0.6853 0.0000 0.3989
Mg 0.3147 0.3147 0.7137
Al 0.8151 0.8151 0.1801
Al 0.3650 0.1849 0.0000
Mg 0.0000 0.3989 0.6853
Mg 0.0000 0.0000 0.6624
Mg 0.3376 0.3376 0.3376

Offset from the most stable computed form   0.010 eV per atom
Energy of formation   0.016 eV/atom

***

# RbBaScSi3O9

A relaxed RbBaScSi3O9 crystal (PBE, Materials Project).

a b c (Å): 10.3318 7.0532 13.9490
angles (deg): 59.67 90.00 90.00
Fractional positions:
O 0.2466 0.5077 0.2940
O 0.7925 0.9095 0.0497
O 0.7159 0.5990 0.4959
O 0.1136 0.0607 0.5905
O 0.2159 0.4010 0.0041
Si 0.2517 0.6152 0.3768
O 0.1070 0.1980 0.2953
O 0.3752 0.9978 0.6468
O 0.7075 0.9095 0.5497
Si 0.7529 0.7509 0.1833
O 0.3923 0.6953 0.8883
Si 0.2529 0.2491 0.3167
O 0.1274 0.7774 0.8457
Si 0.7517 0.3848 0.1232
O 0.3726 0.7774 0.3457
Si 0.2358 0.1311 0.0579
Si 0.7483 0.3848 0.6232
Ba 0.4414 0.6711 0.0876
Si 0.7471 0.7509 0.6833
O 0.6070 0.8020 0.2047
O 0.8930 0.8020 0.7047
O 0.6274 0.2226 0.6543
O 0.8864 0.9393 0.4095
Si 0.2483 0.6152 0.8768
O 0.3864 0.0607 0.0905
O 0.8752 0.0022 0.8532
O 0.7534 0.4923 0.7060
Sc 0.5040 0.9787 0.7650
O 0.7466 0.4923 0.2060
Si 0.2471 0.2491 0.8167
Ba 0.5586 0.3289 0.9124
O 0.7841 0.5990 0.9959
Sc 0.9960 0.9787 0.2650
Sc 0.0040 0.0213 0.7350
O 0.8923 0.3047 0.6117
Rb 0.9458 0.3349 0.9208
O 0.1248 0.9978 0.1468
O 0.3930 0.1980 0.7953
Rb 0.4458 0.6651 0.5792
O 0.2925 0.0905 0.4503
Rb 0.0542 0.6651 0.0792
Si 0.7358 0.8689 0.4421
O 0.8726 0.2226 0.1543
O 0.6077 0.3047 0.1117
O 0.2534 0.5077 0.7940
O 0.2841 0.4010 0.5041
O 0.1077 0.6953 0.3883
O 0.3704 0.2580 0.2383
Sc 0.4960 0.0213 0.2350
O 0.2075 0.0905 0.9503
Ba 0.0586 0.6711 0.5876
O 0.8704 0.7420 0.2617
O 0.1296 0.2580 0.7383
Si 0.2642 0.1311 0.5579
O 0.6248 0.0022 0.3532
Rb 0.5542 0.3349 0.4208
O 0.6296 0.7420 0.7617
Ba 0.9414 0.3289 0.4124
Si 0.7642 0.8689 0.9421
O 0.6136 0.9393 0.9095

Energy of formation   -3.344 eV/atom

***

Number 1: uncorrected energy -129.64 eV/cell. Number 2: uncorrected energy -67.10 eV/cell. Number 3: uncorrected energy -44.29 eV/cell. Number 4: uncorrected energy -65.42 eV/cell. Number 5: uncorrected energy -83.50 eV/cell. Number 6: uncorrected energy -263.51 eV/cell. Number 7: uncorrected energy -31.08 eV/cell. Number 8: uncorrected energy -79.74 eV/cell. Number 9: uncorrected energy -456.08 eV/cell.